(1)
The following is a PBE with a Hubbard U calculation of an optimized crystal structure of LiNiPO4, from the Materials Project.

a b c (Å): 7.3750 8.4140 16.8224
angles (deg): 60.26 90.00 90.00
Sites, in units of the cell vectors:
Li1 0.6644 0.6642 0.4061
Li2 0.8245 0.3174 0.7590
Li3 0.6697 0.0152 0.0829
Li4 0.1697 0.9848 0.4171
Li5 0.3245 0.6826 0.7410
Li6 0.1644 0.3358 0.0939
Li7 0.8356 0.6642 0.9061
Li8 0.6755 0.3174 0.2590
Li9 0.8303 0.0152 0.5829
Li10 0.3303 0.9848 0.9171
Li11 0.1755 0.6826 0.2410
Li12 0.3356 0.3358 0.5939
Ni1 0.9499 0.3191 0.9232
Ni2 0.0467 0.6574 0.5863
Ni3 0.9158 0.9983 0.2481
Ni4 0.4158 0.0017 0.2519
Ni5 0.5467 0.3426 0.9137
Ni6 0.4499 0.6809 0.5768
Ni7 0.5501 0.3191 0.4232
Ni8 0.4533 0.6574 0.0863
Ni9 0.5842 0.9983 0.7481
Ni10 0.0842 0.0017 0.7519
Ni11 0.9533 0.3426 0.4137
Ni12 0.0501 0.6809 0.0768
P1 0.2576 0.6375 0.4121
P2 0.2353 0.3194 0.7713
P3 0.2622 0.0375 0.0709
P4 0.7622 0.9625 0.4291
P5 0.7353 0.6806 0.7287
P6 0.7576 0.3625 0.0879
P7 0.2424 0.6375 0.9121
P8 0.2647 0.3194 0.2713
P9 0.2378 0.0375 0.5709
P10 0.7378 0.9625 0.9291
P11 0.7647 0.6806 0.2287
P12 0.7424 0.3625 0.5879
O1 0.5645 0.4375 0.6051
O2 0.9034 0.4221 0.6252
O3 0.7603 0.1116 0.9583
O4 0.0543 0.2680 0.8247
O5 0.3929 0.2605 0.8398
O6 0.7500 0.7944 0.2799
O7 0.2388 0.5821 0.5155
O8 0.2716 0.9302 0.1783
O9 0.4417 0.1427 0.0352
O10 0.2397 0.5256 0.6953
O11 0.2667 0.8519 0.3583
O12 0.1029 0.1740 0.0397
O13 0.6029 0.8260 0.4603
O14 0.7667 0.1481 0.1417
O15 0.7397 0.4744 0.8047
O16 0.9417 0.8573 0.4648
O17 0.7716 0.0698 0.3217
O18 0.7388 0.4179 0.9845
O19 0.8929 0.7395 0.6602
O20 0.2500 0.2056 0.2201
O21 0.5543 0.7320 0.6753
O22 0.2603 0.8884 0.5417
O23 0.4034 0.5779 0.8748
O24 0.0645 0.5625 0.8949
O25 0.9355 0.4375 0.1051
O26 0.5966 0.4221 0.1252
O27 0.7397 0.1116 0.4583
O28 0.4457 0.2680 0.3247
O29 0.7500 0.7944 0.7799
O30 0.1071 0.2605 0.3398
O31 0.2612 0.5821 0.0155
O32 0.2284 0.9302 0.6783
O33 0.0583 0.1427 0.5352
O34 0.2603 0.5256 0.1953
O35 0.2333 0.8519 0.8583
O36 0.3971 0.1740 0.5397
O37 0.8971 0.8260 0.9603
O38 0.7333 0.1481 0.6417
O39 0.7603 0.4744 0.3047
O40 0.5583 0.8573 0.9648
O41 0.7284 0.0698 0.8217
O42 0.7612 0.4179 0.4845
O43 0.2500 0.2056 0.7201
O44 0.6071 0.7395 0.1602
O45 0.9457 0.7320 0.1753
O46 0.2397 0.8884 0.0417
O47 0.0966 0.5779 0.3748
O48 0.4355 0.5625 0.3949

=====

(2)
The following is a PBE with a Hubbard U calculation of an optimized crystal structure of Li3Ni2P3O12, from the Materials Project.

a b c (Å): 8.8158 8.7388 15.0788
angles (deg): 54.92 90.00 90.00
Sites, in units of the cell vectors:
Li1 0.2702 0.0336 0.6806
Li2 0.7298 0.9664 0.3194
Li3 0.2084 0.3331 0.2521
Li4 0.2916 0.3331 0.7521
Li5 0.0853 0.6174 0.2981
Li6 0.2298 0.0336 0.1806
Li7 0.5853 0.3826 0.2019
Li8 0.4147 0.6174 0.7981
Li9 0.7702 0.9664 0.8194
Li10 0.7084 0.6669 0.2479
Li11 0.7916 0.6669 0.7479
Li12 0.9147 0.3826 0.7019
Ni1 0.5451 0.1305 0.1145
Ni2 0.0451 0.8695 0.3855
Ni3 0.9622 0.3573 0.8907
Ni4 0.0378 0.6427 0.1093
Ni5 0.9549 0.1305 0.6145
Ni6 0.4549 0.8695 0.8855
Ni7 0.5378 0.3573 0.3907
Ni8 0.4622 0.6427 0.6093
P1 0.2485 0.4583 0.5054
P2 0.8999 0.9539 0.1486
P3 0.2515 0.4583 0.0054
P4 0.7485 0.5417 0.9946
P5 0.3896 0.7475 0.1478
P6 0.8896 0.2525 0.3522
P7 0.1104 0.7475 0.6478
P8 0.6001 0.9539 0.6486
P9 0.1001 0.0461 0.8514
P10 0.7515 0.5417 0.4946
P11 0.3999 0.0461 0.3514
P12 0.6103 0.2525 0.8522
O1 0.9869 0.5968 0.7175
O2 0.4387 0.8822 0.4650
O3 0.6617 0.7297 0.9261
O4 0.2721 0.6626 0.6859
O5 0.7609 0.9631 0.6876
O6 0.5613 0.1178 0.5350
O7 0.2609 0.0369 0.8124
O8 0.9387 0.1178 0.0350
O9 0.4753 0.9332 0.7286
O10 0.9008 0.7608 0.1633
O11 0.1758 0.4773 0.0909
O12 0.2391 0.0369 0.3124
O13 0.5131 0.5968 0.2175
O14 0.9753 0.0668 0.7714
O15 0.4008 0.2392 0.3367
O16 0.8592 0.5518 0.0705
O17 0.0979 0.9094 0.6620
O18 0.5992 0.7608 0.6633
O19 0.4021 0.9094 0.1620
O20 0.7279 0.3374 0.3141
O21 0.3555 0.6238 0.9238
O22 0.2279 0.6626 0.1859
O23 0.8383 0.7297 0.4261
O24 0.7391 0.9631 0.1876
O25 0.6445 0.3762 0.0762
O26 0.8242 0.5227 0.9091
O27 0.9021 0.0906 0.3380
O28 0.0131 0.4032 0.2825
O29 0.3242 0.4773 0.5909
O30 0.9160 0.1804 0.4704
O31 0.8555 0.3762 0.5762
O32 0.7721 0.3374 0.8141
O33 0.3592 0.4482 0.4295
O34 0.3383 0.2703 0.0739
O35 0.6758 0.5227 0.4091
O36 0.4869 0.4032 0.7825
O37 0.5840 0.1804 0.9704
O38 0.1445 0.6238 0.4238
O39 0.0247 0.9332 0.2286
O40 0.0840 0.8196 0.5296
O41 0.1617 0.2703 0.5739
O42 0.0613 0.8822 0.9650
O43 0.4160 0.8196 0.0296
O44 0.5247 0.0668 0.2714
O45 0.5979 0.0906 0.8380
O46 0.0992 0.2392 0.8367
O47 0.1408 0.4482 0.9295
O48 0.6408 0.5518 0.5705

=====

(3)
The following is a PBE with a Hubbard U calculation of an optimized crystal structure of Li2NiP2O7, from the Materials Project.

a b c (Å): 8.4201 8.5229 8.5210
angles (deg): 72.39 111.06 109.86
Sites, in units of the cell vectors:
Li1 0.0025 0.4365 0.7259
Li2 0.0025 0.9365 0.2259
Li3 0.9975 0.0635 0.7741
Li4 0.9975 0.5635 0.2741
Li5 0.5663 0.8087 0.5713
Li6 0.5663 0.3087 0.0713
Li7 0.4337 0.6913 0.9287
Li8 0.4337 0.1913 0.4287
Ni1 0.7207 0.0896 0.8623
Ni2 0.2793 0.4104 0.6377
Ni3 0.7207 0.5896 0.3623
Ni4 0.2793 0.9104 0.1377
P1 0.8235 0.2371 0.4649
P2 0.8235 0.7371 0.9649
P3 0.1765 0.2629 0.0351
P4 0.1765 0.7629 0.5351
P5 0.3076 0.5231 0.2407
P6 0.3076 0.0231 0.7407
P7 0.6924 0.9769 0.2593
P8 0.6924 0.4769 0.7593
O1 0.8464 0.1030 0.3806
O2 0.8464 0.6030 0.8806
O3 0.1536 0.3970 0.1194
O4 0.1536 0.8970 0.6194
O5 0.3357 0.6982 0.1197
O6 0.3357 0.1982 0.6197
O7 0.6643 0.8018 0.3803
O8 0.6643 0.3018 0.8803
O9 0.2235 0.5124 0.3766
O10 0.2235 0.0124 0.8766
O11 0.7765 0.9876 0.1234
O12 0.7765 0.4876 0.6234
O13 0.5330 0.0524 0.1894
O14 0.5330 0.5524 0.6894
O15 0.4670 0.4476 0.3106
O16 0.4670 0.9476 0.8106
O17 0.7819 0.8881 0.8161
O18 0.7819 0.3881 0.3161
O19 0.2181 0.6119 0.6839
O20 0.2181 0.1119 0.1839
O21 0.0072 0.7841 0.0920
O22 0.0072 0.2841 0.5920
O23 0.9928 0.7159 0.4080
O24 0.9928 0.2159 0.9080
O25 0.6792 0.6484 0.0558
O26 0.6792 0.1484 0.5558
O27 0.3208 0.8516 0.4442
O28 0.3208 0.3516 0.9442

=====

Number 1: energy above the most stable polymorph in this dataset 0.060 eV per atom, size of the total moment 2.00 μB/f.u.. Number 2: energy above the most stable polymorph in this dataset 0.013 eV per atom, size of the total moment 5.93 μB/f.u.. Number 3: energy above the most stable polymorph in this dataset 0.022 eV per atom, size of the total moment 0.00 μB/f.u..